(1)
# BeO2 PBE-GGA optimized geometry
# energy relative to the lowest polymorph listed for this composition	0.67	eV per formula unit
data_BeO2
_space_group_name_H-M_alt 'P 1'
_space_group_IT_number 1
_cell_length_a 3.680
_cell_length_b 5.462
_cell_length_c 7.639
_cell_angle_alpha 89.94
_cell_angle_beta 82.21
_cell_angle_gamma 89.85
loop_
_space_group_symop_operation_xyz
'x,y,z'
loop_
_atom_site_label
_atom_site_fract_x
_atom_site_fract_y
_atom_site_fract_z
Be1 0.000 0.000 0.000
Be2 0.001 0.722 0.512
Be3 0.083 0.222 0.371
Be4 0.085 0.500 0.883
O1 0.039 0.989 0.473
O2 0.045 0.489 0.409
O3 0.129 0.239 0.925
O4 0.310 0.616 0.685
O5 0.419 0.104 0.211
O6 0.666 0.604 0.672
O7 0.775 0.116 0.198
O8 0.955 0.739 0.958

(2)
# TlBiTeSe PBE-GGA optimized geometry
# final energy	-3.449	eV/atom
data_TlBiTeSe
_space_group_name_H-M_alt 'P 4/m m m'
_space_group_IT_number 123
_space_group_name_Hall '-P 4 2'
_cell_length_a 4.516
_cell_length_b 4.516
_cell_length_c 6.210
_cell_angle_alpha 90.00
_cell_angle_beta 90.00
_cell_angle_gamma 90.00
loop_
_atom_site_label
_atom_site_fract_x
_atom_site_fract_y
_atom_site_fract_z
Tl1 0.000 0.000 0.000
Bi1 0.500 0.500 0.500
Te1 0.000 0.000 0.500
Se1 0.500 0.500 0.000

In order of appearance, volume = 12.68; 31.66 Å³ per atom.
In order of appearance, calculated density = 1.79; 8.13 g/cm³.